{
  "formula": "Fe4OF6",
  "functional": "PBE with a Hubbard U",
  "state": "relaxed",
  "cell": [[2.767, -4.069, 1.623], [-0.631, 2.321, 6.690], [-5.960, -3.800, 0.752]],
  "species": ["Fe", "Fe", "Fe", "Fe", "Fe", "Fe", "Fe", "Fe", "O", "O", "F", "F", "F", "F", "F", "F", "F", "F", "F", "F", "F", "F"],
  "frac_coords": [[0.048, 0.248, 0.000], [0.545, 0.507, 0.244], [0.951, 0.749, 0.502], [0.950, 0.750, 0.999], [0.549, 0.003, 0.250], [0.050, 0.250, 0.500], [0.451, 0.501, 0.749], [0.451, 0.999, 0.750], [0.250, 0.248, 0.750], [0.742, 0.750, 0.252], [0.825, 0.237, 0.251], [0.327, 0.258, 0.246], [0.184, 0.757, 0.749], [0.685, 0.748, 0.753], [0.748, 0.040, 0.957], [0.750, 0.039, 0.545], [0.754, 0.456, 0.544], [0.748, 0.454, 0.960], [0.248, 0.546, 0.033], [0.252, 0.544, 0.465], [0.247, 0.958, 0.047], [0.247, 0.961, 0.454]],
  "e_form_mev_per_atom": -2314,
  "magmom_total_mub_per_cell": 32.0,
  "rho_kg_m3": 4483,
  "space_group": "No. 1",
  "e_above_lowest_polymorph_mev_per_atom": 26
}